(1)
! Na2CO3 (PBE-GGA, optimized geometry); values from VASP
&SYSTEM
  ibrav = 0, nat = 12, ntyp = 3
/
ATOMIC_SPECIES
Na 22.99 Na.upf
C 12.01 C.upf
O 16.00 O.upf
CELL_PARAMETERS angstrom
-3.060 3.323 2.744
3.156 -3.402 2.549
4.372 4.482 -0.553
ATOMIC_POSITIONS crystal
Na 0.000 0.000 0.000
Na 0.000 0.000 0.500
Na 0.674 0.348 0.771
Na 0.326 0.652 0.229
C 0.670 0.339 0.245
C 0.330 0.661 0.755
O 0.814 0.202 0.260
O 0.388 0.202 0.260
O 0.186 0.798 0.740
O 0.612 0.798 0.740
O 0.808 0.615 0.212
O 0.192 0.385 0.788
! - Total DFT energy (no corrections): -6.17 eV per atom
! - SG: C2/m, No. 12



(2)
! Ho6Mn4Al43 (PBE-GGA, optimized geometry); values from VASP
&SYSTEM
  ibrav = 0, nat = 106, ntyp = 3
/
ATOMIC_SPECIES
Ho 164.93 Ho.upf
Mn 54.94 Mn.upf
Al 26.98 Al.upf
CELL_PARAMETERS angstrom
5.446 -9.433 0.000
5.446 9.433 0.000
0.000 0.000 17.534
ATOMIC_POSITIONS crystal
Ho 0.532 0.000 0.595
Ho 0.468 0.000 0.405
Ho 0.000 0.532 0.595
Ho 0.468 0.000 0.095
Ho 0.000 0.532 0.905
Ho 0.000 0.468 0.405
Ho 0.532 0.000 0.905
Ho 0.000 0.468 0.095
Ho 0.468 0.468 0.595
Ho 0.532 0.532 0.405
Ho 0.532 0.532 0.095
Ho 0.468 0.468 0.905
Mn 0.000 0.000 0.500
Mn 0.000 0.000 0.000
Mn 0.733 0.000 0.750
Mn 0.267 0.000 0.250
Mn 0.000 0.733 0.750
Mn 0.000 0.267 0.250
Mn 0.267 0.267 0.750
Mn 0.733 0.733 0.250
Al 0.145 0.598 0.750
Al 0.855 0.402 0.250
Al 0.402 0.547 0.750
Al 0.598 0.145 0.750
Al 0.598 0.453 0.250
Al 0.402 0.855 0.250
Al 0.453 0.855 0.750
Al 0.547 0.402 0.750
Al 0.547 0.145 0.250
Al 0.453 0.598 0.250
Al 0.855 0.453 0.750
Al 0.145 0.547 0.250
Al 0.156 0.000 0.116
Al 0.844 0.000 0.884
Al 0.000 0.156 0.116
Al 0.844 0.000 0.616
Al 0.000 0.156 0.384
Al 0.000 0.844 0.884
Al 0.156 0.000 0.384
Al 0.000 0.844 0.616
Al 0.844 0.844 0.116
Al 0.156 0.156 0.884
Al 0.156 0.156 0.616
Al 0.844 0.844 0.384
Al 0.247 0.493 0.500
Al 0.753 0.507 0.500
Al 0.507 0.753 0.500
Al 0.753 0.507 0.000
Al 0.493 0.247 0.000
Al 0.493 0.247 0.500
Al 0.247 0.493 0.000
Al 0.507 0.753 0.000
Al 0.247 0.753 0.500
Al 0.753 0.247 0.500
Al 0.753 0.247 0.000
Al 0.247 0.753 0.000
Al 0.146 0.000 0.750
Al 0.854 0.000 0.250
Al 0.000 0.146 0.750
Al 0.000 0.854 0.250
Al 0.854 0.854 0.750
Al 0.146 0.146 0.250
Al 0.333 0.667 0.627
Al 0.667 0.333 0.373
Al 0.667 0.333 0.127
Al 0.667 0.333 0.873
Al 0.333 0.667 0.873
Al 0.333 0.667 0.127
Al 0.333 0.667 0.373
Al 0.667 0.333 0.627
Al 0.252 0.000 0.530
Al 0.748 0.000 0.470
Al 0.000 0.252 0.530
Al 0.748 0.000 0.030
Al 0.000 0.252 0.970
Al 0.000 0.748 0.470
Al 0.252 0.000 0.970
Al 0.000 0.748 0.030
Al 0.748 0.748 0.530
Al 0.252 0.252 0.470
Al 0.252 0.252 0.030
Al 0.748 0.748 0.970
Al 0.158 0.391 0.666
Al 0.842 0.609 0.334
Al 0.609 0.767 0.666
Al 0.842 0.609 0.166
Al 0.391 0.158 0.834
Al 0.391 0.233 0.334
Al 0.158 0.391 0.834
Al 0.609 0.842 0.166
Al 0.233 0.842 0.666
Al 0.391 0.233 0.166
Al 0.767 0.609 0.834
Al 0.767 0.158 0.334
Al 0.609 0.767 0.834
Al 0.233 0.391 0.166
Al 0.609 0.842 0.334
Al 0.391 0.158 0.666
Al 0.767 0.158 0.166
Al 0.233 0.391 0.334
Al 0.233 0.842 0.834
Al 0.767 0.609 0.666
Al 0.842 0.233 0.834
Al 0.158 0.767 0.166
Al 0.158 0.767 0.334
Al 0.842 0.233 0.666
! - Total DFT energy (no corrections): -4.52 eV per atom
! - SG: P6_3/mcm, No. 193



(3)
! Nb2SiAs2 (PBE-GGA, optimized geometry); values from VASP
&SYSTEM
  ibrav = 0, nat = 5, ntyp = 3
/
ATOMIC_SPECIES
Nb 92.91 Nb.upf
Si 28.09 Si.upf
As 74.92 As.upf
CELL_PARAMETERS angstrom
2.702 0.000 0.000
0.000 2.702 0.000
0.000 0.000 13.505
ATOMIC_POSITIONS crystal
Nb 0.500 0.500 0.191
Nb 0.500 0.500 0.809
Si 0.500 0.500 0.000
As 0.500 0.500 0.605
As 0.500 0.500 0.395
! - Total DFT energy (no corrections): -6.52 eV per atom
! - SG: P4/mmm, No. 123



(4)
! ZnH10C4N6Cl2O4 (PBE-GGA, optimized geometry); values from VASP
&SYSTEM
  ibrav = 0, nat = 54, ntyp = 6
/
ATOMIC_SPECIES
Zn 65.41 Zn.upf
H 1.01 H.upf
C 12.01 C.upf
N 14.01 N.upf
Cl 35.45 Cl.upf
O 16.00 O.upf
CELL_PARAMETERS angstrom
7.366 0.000 0.000
0.000 8.150 0.000
0.000 6.684 9.613
ATOMIC_POSITIONS crystal
Zn 0.500 0.000 0.500
Zn 0.000 0.000 0.000
H 0.147 0.668 0.801
H 0.647 0.332 0.699
H 0.853 0.332 0.199
H 0.353 0.668 0.301
H 0.928 0.600 0.790
H 0.428 0.400 0.710
H 0.072 0.400 0.210
H 0.572 0.600 0.290
H 0.402 0.883 0.981
H 0.902 0.117 0.519
H 0.598 0.117 0.019
H 0.098 0.883 0.481
H 0.428 0.762 0.896
H 0.928 0.238 0.604
H 0.572 0.238 0.104
H 0.072 0.762 0.396
H 0.690 0.701 0.850
H 0.190 0.299 0.650
H 0.310 0.299 0.150
H 0.810 0.701 0.350
C 0.953 0.766 0.875
C 0.453 0.234 0.625
C 0.047 0.234 0.125
C 0.547 0.766 0.375
C 0.663 0.839 0.950
C 0.163 0.161 0.550
C 0.337 0.161 0.050
C 0.837 0.839 0.450
N 0.765 0.761 0.892
N 0.265 0.239 0.608
N 0.235 0.239 0.108
N 0.735 0.761 0.392
N 0.011 0.672 0.818
N 0.511 0.328 0.682
N 0.989 0.328 0.182
N 0.489 0.672 0.318
N 0.484 0.819 0.947
N 0.984 0.181 0.553
N 0.516 0.181 0.053
N 0.016 0.819 0.447
Cl 0.445 0.671 0.742
Cl 0.945 0.329 0.758
Cl 0.555 0.329 0.258
Cl 0.055 0.671 0.242
O 0.062 0.850 0.909
O 0.562 0.150 0.591
O 0.938 0.150 0.091
O 0.438 0.850 0.409
O 0.732 0.923 0.004
O 0.232 0.077 0.496
O 0.268 0.077 0.996
O 0.768 0.923 0.504
! - Total DFT energy (no corrections): -6.03 eV per atom
! - SG: P2_1/c, No. 14



(5)
! Na7Ca2Sc2P5SO24 (PBE-GGA, optimized geometry); values from VASP
&SYSTEM
  ibrav = 0, nat = 123, ntyp = 6
/
ATOMIC_SPECIES
Na 22.99 Na.upf
Ca 40.08 Ca.upf
Sc 44.96 Sc.upf
P 30.97 P.upf
S 32.06 S.upf
O 16.00 O.upf
CELL_PARAMETERS angstrom
9.268 0.012 -0.004
-4.624 8.010 -0.001
-0.010 -0.009 22.927
ATOMIC_POSITIONS crystal
Na 0.641 0.997 0.252
Na 0.997 0.629 0.254
Na 0.635 0.639 0.748
Na 0.005 0.367 0.752
Na 0.363 0.995 0.752
Na 0.296 0.333 0.586
Na 0.038 0.705 0.583
Na 0.668 0.962 0.584
Na 0.297 0.963 0.080
Na 0.668 0.704 0.087
Na 0.038 0.333 0.084
Na 0.982 0.667 0.916
Na 0.326 0.300 0.919
Na 0.967 0.309 0.414
Na 0.698 0.672 0.418
Na 0.006 0.994 0.500
Na 0.998 0.007 0.000
Na 0.668 0.316 0.834
Na 0.660 0.329 0.333
Na 0.334 0.647 0.168
Na 0.334 0.668 0.667
Ca 0.000 0.000 0.650
Ca 0.001 0.005 0.150
Ca 0.330 0.668 0.015
Ca 0.334 0.676 0.514
Ca 0.332 0.664 0.320
Ca 0.332 0.671 0.821
Sc 0.991 0.994 0.348
Sc 0.002 0.008 0.846
Sc 0.667 0.333 0.684
Sc 0.668 0.339 0.184
Sc 0.667 0.321 0.984
Sc 0.667 0.328 0.484
P 0.703 0.699 0.249
P 0.995 0.298 0.249
P 0.303 0.299 0.749
P 0.995 0.699 0.750
P 0.704 0.003 0.748
P 0.957 0.335 0.583
P 0.380 0.046 0.584
P 0.664 0.620 0.583
P 0.955 0.621 0.083
P 0.665 0.043 0.086
P 0.382 0.335 0.082
P 0.024 0.356 0.916
P 0.331 0.978 0.916
P 0.644 0.976 0.416
P 0.022 0.667 0.417
S 0.299 0.005 0.250
S 0.643 0.667 0.917
S 0.332 0.358 0.418
O 0.210 0.023 0.300
O 0.819 0.791 0.303
O 0.976 0.185 0.303
O 0.212 0.185 0.803
O 0.972 0.789 0.804
O 0.824 0.027 0.800
O 0.773 0.974 0.692
O 0.199 0.225 0.694
O 0.023 0.802 0.694
O 0.782 0.801 0.193
O 0.017 0.223 0.193
O 0.205 0.980 0.195
O 0.867 0.350 0.638
O 0.482 0.133 0.641
O 0.650 0.515 0.638
O 0.866 0.516 0.138
O 0.648 0.130 0.141
O 0.491 0.350 0.136
O 0.468 0.320 0.026
O 0.848 0.532 0.028
O 0.681 0.153 0.032
O 0.475 0.156 0.531
O 0.679 0.529 0.528
O 0.852 0.320 0.528
O 0.567 0.692 0.970
O 0.136 0.431 0.971
O 0.297 0.868 0.971
O 0.572 0.864 0.470
O 0.300 0.429 0.471
O 0.123 0.693 0.472
O 0.098 0.630 0.363
O 0.541 0.899 0.360
O 0.365 0.470 0.368
O 0.100 0.467 0.862
O 0.360 0.903 0.861
O 0.538 0.639 0.865
O 0.998 0.822 0.408
O 0.825 0.997 0.408
O 0.180 0.193 0.408
O 0.010 0.182 0.908
O 0.168 0.992 0.909
O 0.814 0.814 0.910
O 0.972 0.176 0.584
O 0.205 0.030 0.584
O 0.823 0.794 0.583
O 0.973 0.797 0.084
O 0.824 0.027 0.085
O 0.207 0.176 0.084
O 0.692 0.167 0.746
O 0.477 0.309 0.746
O 0.832 0.524 0.746
O 0.695 0.526 0.246
O 0.826 0.304 0.248
O 0.470 0.154 0.247
O 0.660 0.514 0.923
O 0.852 0.347 0.925
O 0.482 0.159 0.924
O 0.671 0.155 0.424
O 0.484 0.344 0.424
O 0.841 0.509 0.423
O 0.366 0.494 0.081
O 0.129 0.635 0.082
O 0.507 0.868 0.082
O 0.365 0.872 0.583
O 0.505 0.635 0.581
O 0.132 0.493 0.582
O 0.317 0.854 0.256
O 0.532 0.688 0.256
O 0.140 0.479 0.255
O 0.329 0.477 0.757
O 0.148 0.675 0.755
O 0.528 0.850 0.756
! - Total DFT energy (no corrections): -6.77 eV per atom
! - SG: P1, No. 1



(6)
! Dy2Te5O13 (PBE-GGA, optimized geometry); values from VASP
&SYSTEM
  ibrav = 0, nat = 40, ntyp = 3
/
ATOMIC_SPECIES
Dy 162.50 Dy.upf
Te 127.60 Te.upf
O 16.00 O.upf
CELL_PARAMETERS angstrom
-4.782 -3.610 -3.705
0.241 7.952 -3.707
8.061 -3.130 -6.422
ATOMIC_POSITIONS crystal
Dy 0.553 0.473 0.821
Dy 0.998 0.262 0.761
Dy 0.002 0.738 0.239
Dy 0.447 0.527 0.179
Te 0.274 0.608 0.512
Te 0.290 0.124 0.023
Te 0.726 0.392 0.488
Te 0.710 0.876 0.977
Te 0.436 0.099 0.699
Te 0.564 0.901 0.301
Te 0.120 0.650 0.890
Te 0.155 0.197 0.359
Te 0.845 0.803 0.641
Te 0.880 0.350 0.110
O 0.653 0.983 0.125
O 0.124 0.511 0.108
O 0.876 0.489 0.892
O 0.463 0.807 0.480
O 0.662 0.513 0.618
O 0.328 0.258 0.226
O 0.764 0.495 0.188
O 0.670 0.225 0.776
O 0.059 0.182 0.962
O 0.686 0.735 0.285
O 0.465 0.330 0.001
O 0.066 0.734 0.722
O 0.062 0.983 0.313
O 0.338 0.487 0.382
O 0.347 0.017 0.875
O 0.535 0.670 0.999
O 0.537 0.193 0.520
O 0.047 0.651 0.434
O 0.934 0.266 0.278
O 0.236 0.505 0.812
O 0.938 0.017 0.687
O 0.953 0.349 0.566
O 0.672 0.742 0.774
O 0.941 0.818 0.038
O 0.314 0.265 0.715
O 0.330 0.775 0.224
! - Total DFT energy (no corrections): -6.21 eV per atom
! - SG: P-1, No. 2



(7)
! KTlBr3 (PBE-GGA, optimized geometry); values from VASP
&SYSTEM
  ibrav = 0, nat = 10, ntyp = 3
/
ATOMIC_SPECIES
K 39.10 K.upf
Tl 204.38 Tl.upf
Br 79.90 Br.upf
CELL_PARAMETERS angstrom
0.000 5.873 5.873
5.873 0.000 5.873
5.873 5.873 0.000
ATOMIC_POSITIONS crystal
K 0.750 0.750 0.750
K 0.250 0.250 0.250
Tl 0.500 0.500 0.500
Tl 0.000 0.000 0.000
Br 0.761 0.239 0.239
Br 0.239 0.239 0.761
Br 0.239 0.761 0.761
Br 0.239 0.761 0.239
Br 0.761 0.239 0.761
Br 0.761 0.761 0.239
! - Total DFT energy (no corrections): -2.70 eV per atom
! - SG: Fm-3m, No. 225



(8)
! CaGa2Cu3Sb2O12 (PBE-GGA, optimized geometry); values from VASP
&SYSTEM
  ibrav = 0, nat = 40, ntyp = 5
/
ATOMIC_SPECIES
Ca 40.08 Ca.upf
Ga 69.72 Ga.upf
Cu 63.55 Cu.upf
Sb 121.76 Sb.upf
O 16.00 O.upf
CELL_PARAMETERS angstrom
-3.034 -6.886 -0.713
6.909 -2.963 -0.788
0.438 -0.968 7.484
ATOMIC_POSITIONS crystal
Ca 0.500 0.500 0.500
Ca 0.000 0.000 0.000
Ga 0.750 0.750 0.750
Ga 0.750 0.250 0.250
Ga 0.250 0.750 0.250
Ga 0.250 0.250 0.750
Cu 0.000 0.000 0.500
Cu 0.000 0.500 0.000
Cu 0.500 0.000 0.000
Cu 0.000 0.500 0.500
Cu 0.500 0.000 0.500
Cu 0.500 0.500 0.000
Sb 0.750 0.750 0.250
Sb 0.750 0.250 0.750
Sb 0.250 0.750 0.750
Sb 0.250 0.250 0.250
O 0.196 0.500 0.324
O 0.196 0.500 0.676
O 0.324 0.196 0.500
O 0.324 0.804 0.500
O 0.500 0.324 0.196
O 0.500 0.676 0.804
O 0.500 0.324 0.804
O 0.500 0.676 0.196
O 0.676 0.196 0.500
O 0.676 0.804 0.500
O 0.696 0.000 0.824
O 0.696 0.000 0.176
O 0.804 0.500 0.324
O 0.804 0.500 0.676
O 0.824 0.696 0.000
O 0.824 0.304 0.000
O 0.000 0.824 0.304
O 0.000 0.176 0.696
O 0.000 0.824 0.696
O 0.000 0.176 0.304
O 0.176 0.696 0.000
O 0.176 0.304 0.000
O 0.304 0.000 0.824
O 0.304 0.000 0.176
! - Total DFT energy (no corrections): -5.82 eV per atom
! - SG: Pn-3, No. 201